Record 1
Below is a relaxed Na3CoBAsO7 crystal, with properties calculated at the PBE with a Hubbard U level.

a = 8.6589 Å, b = 8.6508 Å, c = 9.0971 Å
α = 89.17°, β = 89.03°, γ = 104.82°
Element x y z (fractional)
1 Co 0.2284 0.9802 0.6708
2 Co 0.7358 0.4876 0.6679
3 O 0.0691 0.1317 0.6909
4 O 0.1438 0.8944 0.8652
5 O 0.7811 0.5304 0.0824
6 O 0.3635 0.6139 0.1250
7 O 0.5770 0.6269 0.6859
8 O 0.8569 0.6048 0.8276
9 Na 0.3751 0.8729 0.2438
10 Co 0.7638 0.0129 0.3346
11 O 0.5613 0.3106 0.5879
12 O 0.9277 0.8720 0.3112
13 B 0.2624 0.0132 0.9307
14 O 0.6495 0.8958 0.1769
15 O 0.6134 0.1679 0.3146
16 B 0.2450 0.4946 0.0641
17 O 0.8625 0.1141 0.1235
18 Co 0.2639 0.5130 0.3343
19 Na 0.8735 0.3708 0.2436
20 Na 0.1229 0.1230 0.2447
21 O 0.4219 0.3660 0.3141
22 Na 0.6224 0.6215 0.2465
23 O 0.1492 0.3960 0.1758
24 Na 0.3741 0.3765 0.7523
25 O 0.8236 0.5734 0.4631
26 O 0.6372 0.3904 0.8754
27 O 0.3166 0.0699 0.4703
28 O 0.7164 0.9665 0.9203
29 As 0.5173 0.7654 0.5771
30 O 0.2184 0.4698 0.9199
31 B 0.7442 0.9936 0.0640
32 O 0.1211 0.6744 0.3116
33 Na 0.5093 0.2600 0.0843
34 B 0.7573 0.5076 0.9373
35 Na 0.6255 0.1269 0.7550
36 As 0.9848 0.7344 0.4227
37 O 0.3551 0.1081 0.8186
38 Na 0.4950 0.7415 0.9173
39 As 0.0143 0.2674 0.5770
40 Na 0.9945 0.2470 0.9175
41 O 0.6807 0.9255 0.5382
42 O 0.2832 0.0323 0.0755
43 O 0.4397 0.6894 0.4129
44 Na 0.0044 0.7544 0.0788
45 Na 0.8720 0.8764 0.7518
46 O 0.3838 0.8236 0.6912
47 O 0.1785 0.4267 0.5376
48 As 0.4793 0.2297 0.4276
49 O 0.9376 0.1907 0.4126
50 Na 0.1268 0.6243 0.7533
51 O 0.0602 0.8095 0.5881
52 O 0.8792 0.3310 0.6870

Values from the calculation:
The crystal system is triclinic. The value obtained for the total energy is -5.906 eV/atom. For the magnetic moment, the calculation gives 0.04 μB/atom. The calculation puts the energy of formation at -2013 meV/atom. The calculation puts the energy above the most stable polymorph in this dataset at 3 meV per atom.



Record 2
Below is a relaxed Na2CoBAsO7 crystal, with properties calculated at the PBE with a Hubbard U level.

a = 6.4157 Å, b = 5.4022 Å, c = 9.2184 Å
α = 87.11°, β = 90.00°, γ = 90.00°
Element x y z (fractional)
1 O 0.4538 0.7966 0.3175
2 O 0.2500 0.8741 0.5892
3 O 0.2500 0.4569 0.8073
4 O 0.9538 0.2034 0.6825
5 Co 0.2500 0.2179 0.6660
6 Co 0.7500 0.7821 0.3340
7 O 0.5462 0.2034 0.6825
8 O 0.7500 0.1259 0.4108
9 O 0.2500 0.3964 0.4714
10 O 0.7500 0.6036 0.5286
11 Na 0.9997 0.2351 0.2210
12 O 0.7500 0.9530 0.1486
13 As 0.7500 0.2864 0.5658
14 Na 0.5003 0.2351 0.2210
15 O 0.2500 0.3048 0.0611
16 O 0.0462 0.7966 0.3175
17 B 0.2500 0.2702 0.9207
18 B 0.7500 0.7298 0.0793
19 O 0.7500 0.6952 0.9389
20 Na 0.4997 0.7649 0.7790
21 O 0.2500 0.0470 0.8514
22 As 0.2500 0.7136 0.4342
23 Na 0.0003 0.7649 0.7790
24 O 0.7500 0.5431 0.1927

Values from the calculation:
The crystal system is monoclinic. The value obtained for the total energy is -5.982 eV/atom. For the magnetic moment, the calculation gives 0.08 μB/atom. The calculation puts the energy of formation at -1875 meV/atom.



Record 3
Below is a relaxed Na3CoBAsO7 crystal, with properties calculated at the PBE with a Hubbard U level.

a = 9.1147 Å, b = 6.8253 Å, c = 5.3137 Å
α = 90.24°, β = 88.44°, γ = 90.09°
Element x y z (fractional)
1 O 0.5365 0.7491 0.6046
2 O 0.1738 0.7507 0.5436
3 Na 0.7534 0.0004 0.7511
4 B 0.0629 0.7504 0.7382
5 Na 0.2443 0.9985 0.2406
6 O 0.3124 0.4456 0.7844
7 O 0.6887 0.5543 0.2064
8 Na 0.0762 0.2519 0.7603
9 O 0.3123 0.0547 0.7868
10 As 0.5759 0.7486 0.2835
11 O 0.9191 0.7513 0.6880
12 O 0.0829 0.2501 0.3038
13 Na 0.7531 0.5005 0.7538
14 O 0.6884 0.9456 0.2129
15 O 0.1246 0.7488 0.9741
16 As 0.4254 0.2498 0.7118
17 Na 0.2444 0.5016 0.2409
18 B 0.9364 0.2518 0.2755
19 O 0.8675 0.2547 0.0420
20 Co 0.3331 0.7500 0.7725
21 Co 0.6684 0.2467 0.2259
22 O 0.4137 0.7500 0.1269
23 O 0.8330 0.2513 0.4751
24 O 0.4681 0.2474 0.3890
25 Na 0.9188 0.7479 0.2426
26 O 0.5868 0.2485 0.8658

Values from the calculation:
The crystal system is triclinic. The value obtained for the total energy is -5.900 eV/atom. For the magnetic moment, the calculation gives 0.31 μB/atom. The calculation puts the energy of formation at -2008 meV/atom. The calculation puts the energy above the most stable polymorph in this dataset at 9 meV per atom.